Computed, not measured: a geometry-optimized Mg6AlVO8 structure at the PBE+U level of DFT.

Unit cell a=8.5764 b=4.3314 c=4.3314 alpha=90.00 beta=90.00 gamma=90.00
Atoms (fractional coordinates):
Mg1 0.7480 0.5000 0.0000
Mg2 0.7480 0.0000 0.5000
Mg3 0.5000 0.5000 0.5000
Mg4 0.2520 0.0000 0.5000
Mg5 0.5000 0.0000 0.0000
Mg6 0.2520 0.5000 0.0000
O1 0.2424 0.0000 0.0000
O2 0.2550 0.5000 0.5000
O3 0.0000 0.5000 0.0000
O4 0.7450 0.5000 0.5000
O5 0.7576 0.0000 0.0000
O6 0.5000 0.0000 0.5000
O7 0.5000 0.5000 0.0000
O8 0.0000 0.0000 0.5000
V1 0.0000 0.5000 0.5000
Al1 0.0000 0.0000 0.0000

Values from the calculation:
**Relative energy among the computed polymorphs**: 11.9 meV/atom
**Energy**: -6.169 eV per atom
**Symmetry**: No. 123
**Formation enthalpy at 0 K**: -2742 meV per atom


Computed, not measured: a geometry-optimized Mn2AlO4 structure at the PBE+U level of DFT.

Unit cell a=6.0102 b=6.0102 c=6.0102 alpha=60.00 beta=60.00 gamma=60.00
Atoms (fractional coordinates):
O1 0.3753 0.3753 0.3753
O2 0.3759 0.8747 0.8747
O3 0.8741 0.3753 0.3753
O4 0.8747 0.3759 0.8747
O5 0.8747 0.8747 0.3759
O6 0.3753 0.3753 0.8741
O7 0.3753 0.8741 0.3753
O8 0.8747 0.8747 0.8747
Mn1 0.1250 0.1250 0.1250
Mn2 0.6250 0.1250 0.1250
Mn3 0.1250 0.6250 0.1250
Mn4 0.1250 0.1250 0.6250
Al1 0.5000 0.5000 0.5000
Al2 0.7500 0.7500 0.7500

Values from the calculation:
**Relative energy among the computed polymorphs**: 55.4 meV/atom
**Energy**: -7.539 eV per atom
**Symmetry**: No. 227
**Formation enthalpy at 0 K**: -2428 meV per atom


Computed, not measured: a geometry-optimized Mn2Al2O7 structure at the PBE+U level of DFT.

Unit cell a=6.6463 b=6.6463 c=6.6463 alpha=60.00 beta=60.00 gamma=60.00
Atoms (fractional coordinates):
O1 0.9709 0.5291 0.5291
O2 0.2791 0.2791 0.7209
O3 0.9709 0.9709 0.5291
O4 0.2791 0.7209 0.7209
O5 0.7209 0.2791 0.2791
O6 0.5291 0.9709 0.9709
O7 0.2791 0.7209 0.2791
O8 0.7209 0.7209 0.2791
O9 0.5291 0.9709 0.5291
O10 0.7209 0.2791 0.7209
O11 0.0000 0.0000 0.0000
O12 0.5291 0.5291 0.9709
O13 0.9709 0.5291 0.9709
O14 0.2500 0.2500 0.2500
Mn1 0.1250 0.6250 0.6250
Mn2 0.6250 0.6250 0.6250
Mn3 0.6250 0.1250 0.6250
Mn4 0.6250 0.6250 0.1250
Al1 0.1250 0.1250 0.6250
Al2 0.1250 0.1250 0.1250
Al3 0.1250 0.6250 0.1250
Al4 0.6250 0.1250 0.1250

Values from the calculation:
**Energy**: -7.010 eV per atom
**Symmetry**: No. 227
**Formation enthalpy at 0 K**: -2255 meV per atom


Computed, not measured: a geometry-optimized Mn2AlO4 structure at the PBE+U level of DFT.

Unit cell a=6.0101 b=6.0101 c=6.0101 alpha=59.84 beta=59.84 gamma=59.84
Atoms (fractional coordinates):
Mn1 0.5000 0.0000 0.0000
Mn2 0.0000 0.0000 0.0000
Mn3 0.0000 0.0000 0.5000
Mn4 0.0000 0.5000 0.0000
O1 0.2552 0.2552 0.7546
O2 0.7448 0.7448 0.2454
O3 0.7448 0.2454 0.7448
O4 0.2454 0.7448 0.7448
O5 0.2552 0.7546 0.2552
O6 0.2576 0.2576 0.2576
O7 0.7424 0.7424 0.7424
O8 0.7546 0.2552 0.2552
Al1 0.3788 0.3788 0.3788
Al2 0.6212 0.6212 0.6212

Values from the calculation:
**Relative energy among the computed polymorphs**: 51.7 meV/atom
**Energy**: -7.543 eV per atom
**Symmetry**: No. 166
**Formation enthalpy at 0 K**: -2432 meV per atom


Computed, not measured: a geometry-optimized Mn2AlO4 structure at the PBE+U level of DFT.

Unit cell a=6.3420 b=6.3420 c=6.3420 alpha=130.65 beta=130.65 gamma=72.37
Atoms (fractional coordinates):
O1 0.7839 0.2690 0.1093
O2 0.4246 0.0339 0.0149
O3 0.9661 0.9810 0.3907
O4 0.3254 0.2161 0.4851
O5 0.5903 0.5754 0.6093
O6 0.7310 0.8403 0.5149
O7 0.1597 0.6746 0.8907
O8 0.0190 0.4097 0.9851
Mn1 0.8750 0.6250 0.2500
Mn2 0.3750 0.6250 0.7500
Mn3 0.3750 0.6250 0.2500
Mn4 0.3750 0.1250 0.7500
Al1 0.0000 0.0000 0.0000
Al2 0.7500 0.2500 0.5000

Values from the calculation:
**Relative energy among the computed polymorphs**: 382.5 meV/atom
**Energy**: -7.212 eV per atom
**Symmetry**: No. 88
**Formation enthalpy at 0 K**: -2101 meV per atom


Computed, not measured: a geometry-optimized Mn2AlO4 structure at the PBE+U level of DFT.

Unit cell a=4.9666 b=10.4196 c=6.2940 alpha=90.00 beta=90.00 gamma=90.00
Atoms (fractional coordinates):
O1 0.2478 0.1488 0.0206
O2 0.2522 0.6488 0.4794
O3 0.7309 0.5935 0.2500
O4 0.7692 0.0935 0.2500
O5 0.2561 0.4357 0.2500
O6 0.7560 0.0644 0.7500
O7 0.2479 0.1488 0.4793
O8 0.7478 0.3512 0.9794
O9 0.2520 0.6489 0.0207
O10 0.2308 0.9065 0.7500
O11 0.2439 0.9356 0.2500
O12 0.7439 0.5644 0.7500
O13 0.2692 0.4065 0.7500
O14 0.7520 0.8511 0.9793
O15 0.7480 0.3511 0.5207
O16 0.7521 0.8512 0.5207
Mn1 0.0000 0.0000 0.0001
Mn2 0.0001 0.0000 0.5000
Mn3 0.9697 0.2778 0.2500
Mn4 0.5001 0.5000 0.5000
Mn5 0.0304 0.7222 0.7500
Mn6 0.4694 0.2222 0.7500
Mn7 0.5000 0.5000 0.0000
Mn8 0.5305 0.7778 0.2500
Al1 0.4214 0.0888 0.2500
Al2 0.0786 0.5889 0.2501
Al3 0.9214 0.4112 0.7500
Al4 0.5785 0.9112 0.7500

Values from the calculation:
**Relative energy among the computed polymorphs**: 0.0 meV/atom
**Energy**: -7.594 eV per atom
**Symmetry**: No. 62
**Formation enthalpy at 0 K**: -2483 meV per atom


Computed, not measured: a geometry-optimized Mn13Al4Si2Sb2O28 structure at the PBE+U level of DFT.

Unit cell a=11.9696 b=11.9696 c=9.2020 alpha=87.47 beta=87.47 gamma=152.67
Atoms (fractional coordinates):
Sb1 0.8589 0.1411 0.0000
Sb2 0.1411 0.8589 0.0000
O1 0.3962 0.9814 0.8817
O2 0.6038 0.0186 0.1183
O3 0.9814 0.3962 0.8817
O4 0.5970 0.7142 0.6206
O5 0.3552 0.8068 0.6472
O6 0.5919 0.8826 0.8798
O7 0.0582 0.0582 0.6492
O8 0.1932 0.6448 0.3528
O9 0.0202 0.3243 0.5993
O10 0.9418 0.9418 0.3508
O11 0.1174 0.4081 0.1202
O12 0.2716 0.1158 0.8851
O13 0.1158 0.2716 0.8851
O14 0.2858 0.4030 0.3794
O15 0.6861 0.6861 0.8718
O16 0.7142 0.5970 0.6206
O17 0.4081 0.1174 0.1202
O18 0.8842 0.7284 0.1149
O19 0.3243 0.0202 0.5993
O20 0.4030 0.2858 0.3794
O21 0.6448 0.1932 0.3528
O22 0.3139 0.3139 0.1282
O23 0.7284 0.8842 0.1149
O24 0.6757 0.9798 0.4007
O25 0.9798 0.6757 0.4007
O26 0.8826 0.5919 0.8798
O27 0.8068 0.3552 0.6472
O28 0.0186 0.6038 0.1183
Mn1 0.0700 0.3631 0.3560
Mn2 0.4273 0.5727 0.0000
Mn3 0.3476 0.2069 0.6510
Mn4 0.5727 0.4273 0.0000
Mn5 0.6524 0.7931 0.3490
Mn6 0.2069 0.3476 0.6510
Mn7 0.7131 0.2869 0.0000
Mn8 0.6369 0.9300 0.6440
Mn9 0.2869 0.7131 0.0000
Mn10 0.7931 0.6524 0.3490
Mn11 0.9300 0.6369 0.6440
Mn12 0.0000 0.0000 0.0000
Mn13 0.3631 0.0700 0.3560
Si1 0.7645 0.7645 0.6894
Si2 0.2355 0.2355 0.3106
Al1 0.0480 0.4783 0.6814
Al2 0.4783 0.0480 0.6814
Al3 0.5217 0.9520 0.3186
Al4 0.9520 0.5217 0.3186

Values from the calculation:
**Energy**: -7.606 eV per atom
**Symmetry**: No. 12
**Formation enthalpy at 0 K**: -2487 meV per atom


Computed, not measured: a geometry-optimized Mn2Al3Si3O14 structure at the PBE+U level of DFT.

Unit cell a=5.7608 b=8.5740 c=9.9672 alpha=71.07 beta=90.00 gamma=90.00
Atoms (fractional coordinates):
Al1 0.0000 0.5000 0.5000
Al2 0.0000 0.5000 0.0000
Al3 0.5000 0.5000 0.5000
Al4 0.5000 0.5000 0.0000
Al5 0.5000 0.0000 0.0000
Al6 0.0000 0.0000 0.0000
Si1 0.2500 0.8498 0.4942
Si2 0.7500 0.1502 0.5058
Si3 0.7500 0.3092 0.8053
Si4 0.2500 0.7960 0.8031
Si5 0.7500 0.2040 0.1969
Si6 0.2500 0.6908 0.1947
O1 0.7500 0.0700 0.1095
O2 0.5234 0.1867 0.8314
O3 0.0234 0.8133 0.1686
O4 0.4766 0.8133 0.1686
O5 0.7500 0.9089 0.9383
O6 0.0167 0.6804 0.8281
O7 0.2500 0.0911 0.0617
O8 0.7500 0.4467 0.6436
O9 0.2500 0.4124 0.9305
O10 0.5167 0.3196 0.1719
O11 0.4833 0.6804 0.8281
O12 0.2500 0.5938 0.0790
O13 0.2500 0.4296 0.6211
O14 0.9833 0.3196 0.1719
O15 0.7500 0.5704 0.3789
O16 0.0127 0.7308 0.5060
O17 0.2500 0.9300 0.8905
O18 0.7500 0.0849 0.3644
O19 0.9873 0.2692 0.4940
O20 0.5127 0.2692 0.4940
O21 0.4873 0.7308 0.5060
O22 0.9766 0.1867 0.8314
O23 0.2500 0.5533 0.3564
O24 0.7500 0.5876 0.0695
O25 0.2500 0.9151 0.6356
O26 0.2500 0.0117 0.3594
O27 0.7500 0.9883 0.6406
O28 0.7500 0.4062 0.9210
Mn1 0.2500 0.2568 0.3219
Mn2 0.2500 0.1927 0.6946
Mn3 0.7500 0.8073 0.3054
Mn4 0.7500 0.7432 0.6781

Values from the calculation:
**Energy**: -7.418 eV per atom
**Symmetry**: No. 11
**Formation enthalpy at 0 K**: -2775 meV per atom


Computed, not measured: a geometry-optimized Mn2Al4Si5O18 structure at the PBE+U level of DFT.

Unit cell a=10.1262 b=10.1262 c=9.3943 alpha=90.00 beta=90.00 gamma=120.83
Atoms (fractional coordinates):
O1 0.3639 0.8487 0.3585
O2 0.5675 0.8046 0.5000
O3 0.2981 0.2083 0.0000
O4 0.6361 0.1513 0.6415
O5 0.8487 0.3639 0.8585
O6 0.6287 0.9756 0.1418
O7 0.1456 0.0268 0.3492
O8 0.9732 0.8544 0.8492
O9 0.3713 0.0244 0.1418
O10 0.9732 0.8544 0.1508
O11 0.0268 0.1456 0.8492
O12 0.4325 0.1954 0.5000
O13 0.7019 0.7917 0.0000
O14 0.7917 0.7019 0.5000
O15 0.3713 0.0244 0.8582
O16 0.8544 0.9732 0.6508
O17 0.8487 0.3639 0.1415
O18 0.6287 0.9756 0.8582
O19 0.2083 0.2981 0.5000
O20 0.8544 0.9732 0.3492
O21 0.1513 0.6361 0.1415
O22 0.5876 0.2647 0.0000
O23 0.3639 0.8487 0.6415
O24 0.7353 0.4124 0.5000
O25 0.9756 0.6287 0.3582
O26 0.8046 0.5675 0.0000
O27 0.4124 0.7353 0.0000
O28 0.6361 0.1513 0.3585
O29 0.9756 0.6287 0.6418
O30 0.1456 0.0268 0.6508
O31 0.0268 0.1456 0.1508
O32 0.0244 0.3713 0.6418
O33 0.1513 0.6361 0.8585
O34 0.0244 0.3713 0.3582
O35 0.1954 0.4325 0.0000
O36 0.2647 0.5876 0.5000
Si1 0.8654 0.5955 0.5000
Si2 0.6060 0.2301 0.5000
Si3 0.4045 0.1346 0.0000
Si4 0.7699 0.3940 0.0000
Si5 0.1346 0.4045 0.5000
Si6 0.0000 0.0000 0.7500
Si7 0.5955 0.8654 0.0000
Si8 0.2301 0.6060 0.0000
Si9 0.3940 0.7699 0.5000
Si10 0.0000 0.0000 0.2500
Al1 0.0000 0.5000 0.7499
Al2 0.0000 0.5000 0.2501
Al3 0.5000 0.0000 0.2499
Al4 0.8528 0.7582 0.0000
Al5 0.1472 0.2418 0.0000
Al6 0.5000 0.0000 0.7501
Al7 0.7582 0.8528 0.5000
Al8 0.2418 0.1472 0.5000
Mn1 0.1629 0.8371 0.2500
Mn2 0.8371 0.1629 0.7500
Mn3 0.1629 0.8371 0.7500
Mn4 0.8371 0.1629 0.2500

Values from the calculation:
**Energy**: -7.793 eV per atom
**Symmetry**: No. 66
**Formation enthalpy at 0 K**: -3179 meV per atom


Computed, not measured: a geometry-optimized MnAl2SiO5 structure at the PBE+U level of DFT.

Unit cell a=5.4847 b=15.1657 c=15.1657 alpha=122.21 beta=90.00 gamma=90.00
Atoms (fractional coordinates):
Al1 0.6643 0.5262 0.5989
Al2 0.6630 0.5709 0.1024
Al3 0.1643 0.0989 0.0262
Al4 0.8357 0.9738 0.9011
Al5 0.6630 0.4291 0.8976
Al6 0.3357 0.5989 0.5262
Al7 0.3370 0.8976 0.4291
Al8 0.1630 0.6024 0.0709
Al9 0.1630 0.3976 0.9291
Al10 0.1643 0.9011 0.9738
Al11 0.8370 0.0709 0.6024
Al12 0.3370 0.1024 0.5709
Al13 0.8357 0.0262 0.0989
Al14 0.6643 0.4738 0.4011
Al15 0.8370 0.9291 0.3976
Al16 0.3357 0.4011 0.4738
O1 0.3381 0.7958 0.9409
O2 0.1727 0.1981 0.5478
O3 0.6619 0.9409 0.7958
O4 0.3755 0.6214 0.1716
O5 0.1303 0.6096 0.8604
O6 0.3278 0.4699 0.4029
O7 0.8755 0.3284 0.8786
O8 0.1619 0.2958 0.4409
O9 0.8278 0.9029 0.9699
O10 0.8697 0.1396 0.3904
O11 0.6303 0.6396 0.8904
O12 0.1722 0.9699 0.9029
O13 0.6727 0.9522 0.3019
O14 0.8273 0.5478 0.1981
O15 0.6303 0.3604 0.1096
O16 0.6245 0.1716 0.6214
O17 0.1245 0.1214 0.6716
O18 0.8381 0.4409 0.2958
O19 0.6245 0.8284 0.3786
O20 0.3273 0.6981 0.0478
O21 0.8273 0.4522 0.8019
O22 0.6722 0.5971 0.5301
O23 0.6727 0.0478 0.6981
O24 0.3697 0.8904 0.6396
O25 0.8278 0.0971 0.0301
O26 0.8697 0.8604 0.6096
O27 0.8755 0.6716 0.1214
O28 0.1727 0.8019 0.4522
O29 0.1303 0.3904 0.1396
O30 0.6722 0.4029 0.4699
O31 0.3273 0.3019 0.9522
O32 0.6619 0.0591 0.2042
O33 0.3697 0.1096 0.3604
O34 0.1619 0.7042 0.5591
O35 0.8381 0.5591 0.7042
O36 0.1245 0.8786 0.3284
O37 0.3278 0.5301 0.5971
O38 0.3755 0.3786 0.8284
O39 0.3381 0.2042 0.0591
O40 0.1722 0.0301 0.0971
Si1 0.3554 0.3145 0.0670
Si2 0.6446 0.9330 0.6855
Si3 0.3554 0.6855 0.9330
Si4 0.6446 0.0670 0.3145
Si5 0.8554 0.5670 0.8145
Si6 0.1446 0.8145 0.5670
Si7 0.1446 0.1855 0.4330
Si8 0.8554 0.4330 0.1855
Mn1 0.7605 0.8103 0.1430
Mn2 0.2605 0.3570 0.6897
Mn3 0.2395 0.8570 0.1897
Mn4 0.2605 0.6430 0.3103
Mn5 0.7395 0.3103 0.6430
Mn6 0.7605 0.1897 0.8570
Mn7 0.7395 0.6897 0.3570
Mn8 0.2395 0.1430 0.8103

Values from the calculation:
**Energy**: -7.179 eV per atom
**Symmetry**: No. 68
**Formation enthalpy at 0 K**: -2544 meV per atom


Computed, not measured: a geometry-optimized Sr2YMn2AlO7 structure at the PBE+U level of DFT.

Unit cell a=11.8121 b=11.8121 c=11.8121 alpha=152.05 beta=150.94 gamma=40.76
Atoms (fractional coordinates):
Sr1 0.3741 0.3336 0.0195
Sr2 0.1859 0.1455 0.0195
Sr3 0.8141 0.8336 0.9595
Sr4 0.6259 0.6455 0.9595
Mn1 0.4118 0.8982 0.4782
Mn2 0.5882 0.0664 0.4863
Mn3 0.0800 0.5664 0.4782
Mn4 0.9200 0.3982 0.4863
O1 0.9274 0.5623 0.9897
O2 0.7334 0.7098 0.5737
O3 0.2337 0.6032 0.9817
O4 0.3639 0.3403 0.5737
O5 0.8785 0.2481 0.9817
O6 0.7564 0.2811 0.3999
O7 0.6361 0.2098 0.9764
O8 0.7663 0.7481 0.3696
O9 0.0726 0.0623 0.6349
O10 0.3811 0.7811 0.5247
O11 0.6189 0.1436 0.3999
O12 0.2436 0.6436 0.5247
O13 0.1215 0.1032 0.3696
O14 0.2666 0.8403 0.9764
Al1 0.1693 0.7588 0.4281
Al2 0.8307 0.2588 0.5895
Y1 0.5000 0.4893 0.9893
Y2 0.0000 0.9893 0.9893

Values from the calculation:
**Energy**: -7.456 eV per atom
**Symmetry**: No. 46
**Formation enthalpy at 0 K**: -2963 meV per atom


What is the formula in the seventh record?
Mn13Al4Si2Sb2O28


Which of these has the lowest energy?
Mn2Al4Si5O18


The highest formation enthalpy at 0 K belongs to which entry?
number 5